Arrangement P

Here is a geometry-optimized MgTi2Tl2W2O10F2 structure from Materials Project. Energies are from GGA+U.

Values from the calculation:
**Symmetry**: C2
**Crystal system**: monoclinic

The structure in CIF format:
```
data_MgTi2Tl2W2O10F2
_space_group_name_H-M_alt 'P 1'
_space_group_IT_number 1
_cell_length_a 7.655
_cell_length_b 7.406
_cell_length_c 7.375
_cell_angle_alpha 60.02
_cell_angle_beta 58.74
_cell_angle_gamma 58.88
loop_
_space_group_symop_operation_xyz
'x,y,z'
loop_
_atom_site_label
_atom_site_fract_x
_atom_site_fract_y
_atom_site_fract_z
Mg1 0.387 0.500 0.000
Ti1 0.983 0.013 0.004
Ti2 0.499 0.987 0.996
Tl1 0.462 0.401 0.443
Tl2 0.806 0.599 0.557
W1 0.000 0.000 0.500
W2 0.995 0.500 0.000
O1 0.040 0.056 0.696
O2 0.071 0.682 0.065
O3 0.056 0.682 0.683
O4 0.318 0.318 0.935
O5 0.293 0.944 0.304
O6 0.686 0.057 0.690
O7 0.681 0.697 0.065
O8 0.921 0.318 0.317
O9 0.943 0.303 0.935
O10 0.934 0.943 0.310
F1 0.662 0.087 0.072
F2 0.321 0.913 0.928
```

=====

Arrangement Q

Here is a geometry-optimized MgTi2Tl2W2O10F2 structure from Materials Project. Energies are from GGA+U.

Values from the calculation:
**Symmetry**: Cm
**Crystal system**: monoclinic

The structure in CIF format:
```
data_MgTi2Tl2W2O10F2
_space_group_name_H-M_alt 'P 1'
_space_group_IT_number 1
_cell_length_a 7.572
_cell_length_b 7.382
_cell_length_c 7.382
_cell_angle_alpha 60.56
_cell_angle_beta 59.29
_cell_angle_gamma 59.29
loop_
_space_group_symop_operation_xyz
'x,y,z'
loop_
_atom_site_label
_atom_site_fract_x
_atom_site_fract_y
_atom_site_fract_z
Mg1 0.274 0.260 0.260
Ti1 0.993 0.988 0.988
Ti2 0.504 0.984 0.984
Tl1 0.444 0.437 0.437
Tl2 0.730 0.601 0.601
W1 0.997 0.990 0.493
W2 0.997 0.493 0.990
O1 0.047 0.064 0.693
O2 0.047 0.693 0.064
O3 0.087 0.667 0.667
O4 0.316 0.313 0.949
O5 0.316 0.949 0.313
O6 0.677 0.063 0.693
O7 0.677 0.693 0.063
O8 0.945 0.328 0.328
O9 0.932 0.308 0.946
O10 0.932 0.946 0.308
F1 0.664 0.077 0.077
F2 0.308 0.931 0.931
```

=====

Arrangement R

Here is a geometry-optimized MgTi2Tl2W2O10F2 structure from Materials Project. Energies are from GGA+U.

Values from the calculation:
**Symmetry**: Cm
**Crystal system**: monoclinic

The structure in CIF format:
```
data_MgTi2Tl2W2O10F2
_space_group_name_H-M_alt 'P 1'
_space_group_IT_number 1
_cell_length_a 7.610
_cell_length_b 7.506
_cell_length_c 7.506
_cell_angle_alpha 59.63
_cell_angle_beta 58.56
_cell_angle_gamma 58.56
loop_
_space_group_symop_operation_xyz
'x,y,z'
loop_
_atom_site_label
_atom_site_fract_x
_atom_site_fract_y
_atom_site_fract_z
Mg1 0.681 0.767 0.767
Ti1 0.012 0.013 0.013
Ti2 0.498 0.028 0.028
Tl1 0.416 0.414 0.414
Tl2 0.751 0.534 0.534
W1 0.004 0.002 0.513
W2 0.004 0.513 0.002
O1 0.052 0.061 0.693
O2 0.052 0.693 0.061
O3 0.042 0.676 0.676
O4 0.323 0.309 0.937
O5 0.323 0.937 0.309
O6 0.678 0.060 0.690
O7 0.678 0.690 0.060
O8 0.912 0.325 0.325
O9 0.957 0.302 0.941
O10 0.957 0.941 0.302
F1 0.687 0.080 0.080
F2 0.342 0.915 0.915
```

=====

arrangement Q (9 meV/atom below the next structure)